A plane-wave DFT calculation with PBE was carried out for crystalline TmFe2Ge2 at its relaxed geometry.

Properties
* raw total energy: -32.9 eV for the cell shown
* energy relative to the elements: -0.4414 eV/atom
* symmetry: No. 139

Unit cell a=5.8044 b=5.8044 c=5.8044 alpha=140.24 beta=140.24 gamma=57.49
Fractional positions:
Tm (0.0000, 0.0000, 0.0000)
Fe (0.2500, 0.7500, 0.5000)
Fe (0.7500, 0.2500, 0.5000)
Ge (0.3744, 0.3744, 0.0000)
Ge (0.6256, 0.6256, 0.0000)



A plane-wave DFT calculation with PBE was carried out for crystalline CsMg14Nb at its relaxed geometry.

Properties
* raw total energy: -29.3 eV for the cell shown
* energy relative to the elements: 0.2542 eV/atom
* total moment: 0.01 Bohr magnetons per cell
* excess energy over the best structure of this formula in the dataset: 0 meV per atom
* symmetry: No. 187

Unit cell a=6.5838 b=6.5838 c=10.3867 alpha=90.00 beta=90.00 gamma=120.00
Fractional positions:
Cs (0.0000, 0.0000, 0.0000)
Mg (0.0096, 0.5048, 0.0000)
Mg (0.1683, 0.3367, 0.2728)
Mg (0.1683, 0.3367, 0.7272)
Mg (0.1683, 0.8317, 0.2728)
Mg (0.1683, 0.8317, 0.7272)
Mg (0.4952, 0.5048, 0.0000)
Mg (0.4952, 0.9904, 0.0000)
Mg (0.5032, 0.0065, 0.5000)
Mg (0.5032, 0.4968, 0.5000)
Mg (0.6633, 0.8317, 0.2728)
Mg (0.6633, 0.8317, 0.7272)
Mg (0.6667, 0.3333, 0.2431)
Mg (0.6667, 0.3333, 0.7569)
Mg (0.9935, 0.4968, 0.5000)
Nb (0.0000, 0.0000, 0.5000)



A plane-wave DFT calculation with PBE was carried out for crystalline MgAl2O4 at its relaxed geometry.

Properties
* raw total energy: -146.3 eV for the cell shown
* energy relative to the elements: -3.2324 eV/atom
* total moment: 0.00 Bohr magnetons per cell
* excess energy over the best structure of this formula in the dataset: 142 meV per atom
* symmetry: No. 174

Unit cell a=8.7629 b=8.7629 c=2.8316 alpha=90.00 beta=90.00 gamma=120.00
Fractional positions:
Mg (0.0000, 0.0000, 0.0000)
Mg (0.3333, 0.6667, 0.0000)
Mg (0.6667, 0.3333, 0.5000)
Al (0.3231, 0.0099, 0.0000)
Al (0.3434, 0.3245, 0.5000)
Al (0.6755, 0.0188, 0.5000)
Al (0.6869, 0.6769, 0.0000)
Al (0.9812, 0.6566, 0.5000)
Al (0.9901, 0.3131, 0.0000)
O (0.0391, 0.4753, 0.5000)
O (0.1417, 0.7697, 0.0000)
O (0.2026, 0.0679, 0.5000)
O (0.2303, 0.3719, 0.0000)
O (0.4362, 0.9609, 0.5000)
O (0.4640, 0.2655, 0.0000)
O (0.5247, 0.5638, 0.5000)
O (0.6281, 0.8583, 0.0000)
O (0.7345, 0.1984, 0.0000)
O (0.8016, 0.5360, 0.0000)
O (0.8653, 0.7974, 0.5000)
O (0.9321, 0.1347, 0.5000)



A plane-wave DFT calculation with PBE was carried out for crystalline LaMnSi2 at its relaxed geometry.

Properties
* raw total energy: -54.8 eV for the cell shown
* energy relative to the elements: -0.5766 eV/atom
* symmetry: No. 63

Unit cell a=9.1092 b=9.1092 c=4.0269 alpha=90.00 beta=90.00 gamma=153.58
Fractional positions:
La (0.1025, 0.8975, 0.7500)
La (0.8975, 0.1025, 0.2500)
Mn (0.2492, 0.7508, 0.2500)
Mn (0.7508, 0.2492, 0.7500)
Si (0.3201, 0.6799, 0.7500)
Si (0.4638, 0.5362, 0.7500)
Si (0.5362, 0.4638, 0.2500)
Si (0.6799, 0.3201, 0.2500)



A plane-wave DFT calculation with PBE was carried out for crystalline TbB3O6 at its relaxed geometry.

Properties
* raw total energy: -1315.4 eV for the cell shown
* energy relative to the elements: -3.1976 eV/atom
* total moment: 0.18 Bohr magnetons per cell
* excess energy over the best structure of this formula in the dataset: 0 meV per atom
* symmetry: No. 62

Unit cell a=16.0766 b=7.4456 c=12.3574 alpha=90.00 beta=90.00 gamma=90.00
Fractional positions:
Tb (0.0485, 0.2500, 0.0875)
Tb (0.1202, 0.7500, 0.5078)
Tb (0.1276, 0.7500, 0.2303)
Tb (0.1721, 0.2500, 0.4335)
Tb (0.3279, 0.7500, 0.9335)
Tb (0.3724, 0.2500, 0.7303)
Tb (0.3798, 0.2500, 0.0078)
Tb (0.4515, 0.7500, 0.5875)
Tb (0.5485, 0.2500, 0.4125)
Tb (0.6202, 0.7500, 0.9922)
Tb (0.6276, 0.7500, 0.2697)
Tb (0.6721, 0.2500, 0.0665)
Tb (0.8279, 0.7500, 0.5665)
Tb (0.8724, 0.2500, 0.7697)
Tb (0.8798, 0.2500, 0.4922)
Tb (0.9515, 0.7500, 0.9125)
B (0.0312, 0.0610, 0.3218)
B (0.0312, 0.4390, 0.3218)
B (0.0573, 0.0728, 0.8450)
B (0.0573, 0.4272, 0.8450)
B (0.1097, 0.0768, 0.6436)
B (0.1097, 0.4232, 0.6436)
B (0.1530, 0.5770, 0.9819)
B (0.1530, 0.9230, 0.9819)
B (0.2173, 0.0703, 0.8133)
B (0.2173, 0.4297, 0.8133)
B (0.2425, 0.0686, 0.1281)
B (0.2425, 0.4314, 0.1281)
B (0.2575, 0.5686, 0.6281)
B (0.2575, 0.9314, 0.6281)
B (0.2827, 0.5703, 0.3133)
B (0.2827, 0.9297, 0.3133)
B (0.3470, 0.0770, 0.4819)
B (0.3470, 0.4230, 0.4819)
B (0.3903, 0.5768, 0.1436)
B (0.3903, 0.9232, 0.1436)
B (0.4427, 0.5728, 0.3450)
B (0.4427, 0.9272, 0.3450)
B (0.4688, 0.5610, 0.8218)
B (0.4688, 0.9390, 0.8218)
B (0.5312, 0.0610, 0.1782)
B (0.5312, 0.4390, 0.1782)
B (0.5573, 0.0728, 0.6550)
B (0.5573, 0.4272, 0.6550)
B (0.6097, 0.0768, 0.8564)
B (0.6097, 0.4232, 0.8564)
B (0.6530, 0.5770, 0.5181)
B (0.6530, 0.9230, 0.5181)
B (0.7173, 0.0703, 0.6867)
B (0.7173, 0.4297, 0.6867)
B (0.7425, 0.0686, 0.3719)
B (0.7425, 0.4314, 0.3719)
B (0.7575, 0.5686, 0.8719)
B (0.7575, 0.9314, 0.8719)
B (0.7827, 0.5703, 0.1867)
B (0.7827, 0.9297, 0.1867)
B (0.8470, 0.0770, 0.0181)
B (0.8470, 0.4230, 0.0181)
B (0.8903, 0.5768, 0.3564)
B (0.8903, 0.9232, 0.3564)
B (0.9427, 0.5728, 0.1550)
B (0.9427, 0.9272, 0.1550)
B (0.9688, 0.5610, 0.6782)
B (0.9688, 0.9390, 0.6782)
O (0.0208, 0.5205, 0.2092)
O (0.0208, 0.9795, 0.2092)
O (0.0480, 0.2500, 0.8964)
O (0.0484, 0.5646, 0.6226)
O (0.0484, 0.9354, 0.6226)
O (0.0645, 0.2500, 0.3029)
O (0.0701, 0.5572, 0.9318)
O (0.0701, 0.9428, 0.9318)
O (0.0779, 0.2500, 0.6070)
O (0.0959, 0.5406, 0.3761)
O (0.0959, 0.9594, 0.3761)
O (0.1289, 0.0726, 0.7652)
O (0.1289, 0.4274, 0.7652)
O (0.1591, 0.7500, 0.0386)
O (0.1647, 0.0635, 0.0646)
O (0.1647, 0.4365, 0.0646)
O (0.1849, 0.0350, 0.5779)
O (0.1849, 0.4650, 0.5779)
O (0.2180, 0.5634, 0.8985)
O (0.2180, 0.9366, 0.8985)
O (0.2238, 0.5193, 0.2303)
O (0.2245, 0.7500, 0.6371)
O (0.2238, 0.9807, 0.2303)
O (0.2445, 0.2500, 0.8542)
O (0.2555, 0.7500, 0.3542)
O (0.2762, 0.0193, 0.7303)
O (0.2755, 0.2500, 0.1371)
O (0.2762, 0.4807, 0.7303)
O (0.2820, 0.0634, 0.3985)
O (0.2820, 0.4366, 0.3985)
O (0.3151, 0.5350, 0.0779)
O (0.3151, 0.9650, 0.0779)
O (0.3353, 0.5635, 0.5646)
O (0.3353, 0.9365, 0.5646)
O (0.3409, 0.2500, 0.5386)
O (0.3711, 0.5726, 0.2652)
O (0.3711, 0.9274, 0.2652)
O (0.4041, 0.0406, 0.8761)
O (0.4041, 0.4594, 0.8761)
O (0.4221, 0.7500, 0.1070)
O (0.4299, 0.0572, 0.4318)
O (0.4299, 0.4428, 0.4318)
O (0.4355, 0.7500, 0.8029)
O (0.4516, 0.0646, 0.1226)
O (0.4516, 0.4354, 0.1226)
O (0.4520, 0.7500, 0.3964)
O (0.4792, 0.0205, 0.7092)
O (0.4792, 0.4795, 0.7092)
O (0.5208, 0.5205, 0.2908)
O (0.5208, 0.9795, 0.2908)
O (0.5480, 0.2500, 0.6036)
O (0.5484, 0.5646, 0.8774)
O (0.5484, 0.9354, 0.8774)
O (0.5645, 0.2500, 0.1971)
O (0.5701, 0.5572, 0.5682)
O (0.5701, 0.9428, 0.5682)
O (0.5779, 0.2500, 0.8930)
O (0.5959, 0.5406, 0.1239)
O (0.5959, 0.9594, 0.1239)
O (0.6289, 0.0726, 0.7348)
O (0.6289, 0.4274, 0.7348)
O (0.6591, 0.7500, 0.4614)
O (0.6647, 0.0635, 0.4354)
O (0.6647, 0.4365, 0.4354)
O (0.6849, 0.0350, 0.9221)
O (0.6849, 0.4650, 0.9221)
O (0.7180, 0.5634, 0.6015)
O (0.7180, 0.9366, 0.6015)
O (0.7238, 0.5193, 0.2697)
O (0.7245, 0.7500, 0.8629)
O (0.7238, 0.9807, 0.2697)
O (0.7445, 0.2500, 0.6458)
O (0.7555, 0.7500, 0.1458)
O (0.7762, 0.0193, 0.7697)
O (0.7755, 0.2500, 0.3629)
O (0.7762, 0.4807, 0.7697)
O (0.7820, 0.0634, 0.1015)
O (0.7820, 0.4366, 0.1015)
O (0.8151, 0.5350, 0.4221)
O (0.8151, 0.9650, 0.4221)
O (0.8353, 0.5635, 0.9354)
O (0.8353, 0.9365, 0.9354)
O (0.8409, 0.2500, 0.9614)
O (0.8711, 0.5726, 0.2348)
O (0.8711, 0.9274, 0.2348)
O (0.9041, 0.0406, 0.6239)
O (0.9041, 0.4594, 0.6239)
O (0.9221, 0.7500, 0.3930)
O (0.9299, 0.0572, 0.0682)
O (0.9299, 0.4428, 0.0682)
O (0.9355, 0.7500, 0.6971)
O (0.9516, 0.0646, 0.3774)
O (0.9516, 0.4354, 0.3774)
O (0.9520, 0.7500, 0.1036)
O (0.9792, 0.0205, 0.7908)
O (0.9792, 0.4795, 0.7908)



A plane-wave DFT calculation with PBE was carried out for crystalline ZnSb2Cl2O3 at its relaxed geometry.

Properties
* raw total energy: -152.9 eV for the cell shown
* energy relative to the elements: -1.5286 eV/atom
* symmetry: No. 62

Unit cell a=17.5526 b=5.6806 c=6.5701 alpha=90.00 beta=90.00 gamma=90.00
Fractional positions:
Zn (0.0896, 0.2500, 0.0158)
Zn (0.4104, 0.7500, 0.5158)
Zn (0.5896, 0.2500, 0.4842)
Zn (0.9104, 0.7500, 0.9842)
Sb (0.1179, 0.7500, 0.6772)
Sb (0.2410, 0.2500, 0.7522)
Sb (0.2590, 0.7500, 0.2522)
Sb (0.3821, 0.2500, 0.1772)
Sb (0.6179, 0.7500, 0.8228)
Sb (0.7410, 0.2500, 0.7478)
Sb (0.7590, 0.7500, 0.2478)
Sb (0.8821, 0.2500, 0.3228)
Cl (0.0267, 0.7500, 0.1283)
Cl (0.1228, 0.2500, 0.3467)
Cl (0.3772, 0.7500, 0.8467)
Cl (0.4733, 0.2500, 0.6283)
Cl (0.5267, 0.7500, 0.3717)
Cl (0.6228, 0.2500, 0.1533)
Cl (0.8772, 0.7500, 0.6533)
Cl (0.9733, 0.2500, 0.8717)
O (0.1594, 0.0181, 0.8490)
O (0.1594, 0.4819, 0.8490)
O (0.2169, 0.7500, 0.5312)
O (0.2831, 0.2500, 0.0312)
O (0.3406, 0.5181, 0.3490)
O (0.3406, 0.9819, 0.3490)
O (0.6594, 0.0181, 0.6510)
O (0.6594, 0.4819, 0.6510)
O (0.7169, 0.7500, 0.9688)
O (0.7831, 0.2500, 0.4688)
O (0.8406, 0.5181, 0.1510)
O (0.8406, 0.9819, 0.1510)



A plane-wave DFT calculation with PBE was carried out for crystalline AuO2F6 at its relaxed geometry.

Properties
* raw total energy: -30.1 eV for the cell shown
* energy relative to the elements: -0.9474 eV/atom
* total moment: 1.00 Bohr magnetons per cell
* excess energy over the best structure of this formula in the dataset: 14 meV per atom
* symmetry: No. 2

Unit cell a=5.5099 b=5.5752 c=5.6319 alpha=90.38 beta=100.39 gamma=103.53
Fractional positions:
Au (0.0000, 0.0000, 0.0000)
O (0.4321, 0.5503, 0.5398)
O (0.5679, 0.4497, 0.4602)
F (0.0460, 0.8180, 0.7231)
F (0.2224, 0.3010, 0.9210)
F (0.2891, 0.9172, 0.2056)
F (0.7109, 0.0828, 0.7944)
F (0.7776, 0.6990, 0.0790)
F (0.9540, 0.1820, 0.2769)



A plane-wave DFT calculation with PBE was carried out for crystalline Ti19Se20 at its relaxed geometry.

Properties
* raw total energy: -262.7 eV for the cell shown
* energy relative to the elements: -1.3383 eV/atom
* total moment: 0.83 Bohr magnetons per cell
* symmetry: No. 2

Unit cell a=6.9190 b=9.6330 c=11.3248 alpha=91.53 beta=98.80 gamma=111.02
Fractional positions:
Ti (0.0000, 0.0000, 0.0000)
Ti (0.0000, 0.5000, 0.0000)
Ti (0.0985, 0.3968, 0.6078)
Ti (0.0985, 0.8975, 0.6056)
Ti (0.1906, 0.2870, 0.2086)
Ti (0.1925, 0.7815, 0.2033)
Ti (0.2989, 0.7123, 0.7916)
Ti (0.3081, 0.2134, 0.8023)
Ti (0.3982, 0.1024, 0.3951)
Ti (0.3984, 0.6043, 0.3918)
Ti (0.5000, 0.0000, 0.0000)
Ti (0.6016, 0.3957, 0.6082)
Ti (0.6018, 0.8976, 0.6049)
Ti (0.6919, 0.7866, 0.1977)
Ti (0.7011, 0.2877, 0.2084)
Ti (0.8075, 0.2185, 0.7967)
Ti (0.8094, 0.7130, 0.7914)
Ti (0.9015, 0.1025, 0.3944)
Ti (0.9015, 0.6032, 0.3922)
Se (0.0356, 0.3853, 0.3709)
Se (0.0610, 0.0053, 0.2321)
Se (0.1334, 0.7842, 0.9648)
Se (0.1793, 0.4279, 0.8385)
Se (0.2325, 0.1823, 0.5667)
Se (0.2677, 0.8185, 0.4353)
Se (0.3320, 0.5714, 0.1612)
Se (0.3680, 0.2179, 0.0360)
Se (0.4396, 0.9937, 0.7674)
Se (0.4654, 0.6158, 0.6295)
Se (0.5346, 0.3842, 0.3705)
Se (0.5604, 0.0063, 0.2326)
Se (0.6320, 0.7821, 0.9640)
Se (0.6680, 0.4286, 0.8388)
Se (0.7323, 0.1815, 0.5647)
Se (0.7675, 0.8177, 0.4333)
Se (0.8207, 0.5721, 0.1615)
Se (0.8666, 0.2158, 0.0352)
Se (0.9390, 0.9947, 0.7679)
Se (0.9644, 0.6147, 0.6291)